# 1
Below is a geometry-optimized Hf2N2O structure, with properties calculated at the r²SCAN level.

* energy: -25.48 eV/atom
* SG: P1, No. 1
* DFT formation energy: -2.571 eV per atom
* mass density: 10.60 g/cm³

a = 8.6723 Å, b = 8.6686 Å, c = 8.6826 Å
α = 109.56°, β = 109.51°, γ = 109.36°
Fractional coordinates of all 40 atoms:
Hf: 0.4910 0.5054 0.5031
Hf: 0.7060 0.4554 0.2437
Hf: 0.7561 0.2854 0.5391
Hf: 0.2513 0.2179 0.9612
Hf: 0.2105 0.9603 0.2515
Hf: 0.5248 0.7409 0.2864
Hf: 0.4686 0.2525 0.7203
Hf: 0.7552 0.7872 0.0329
Hf: 0.0383 0.7534 0.7858
Hf: 0.0163 0.0088 0.5103
Hf: 0.7815 0.0308 0.7515
Hf: 0.2842 0.5347 0.7440
Hf: 0.9980 0.5042 0.9889
Hf: 0.9611 0.2432 0.2192
Hf: 0.5064 0.0030 0.9951
Hf: 0.2537 0.7186 0.4676
O: 0.2756 0.0126 0.0501
O: 0.9605 0.5132 0.2354
O: 0.4668 0.2274 0.4479
O: 0.7713 0.7246 0.2605
O: 0.0477 0.2763 0.0186
O: 0.4948 0.7652 0.0398
O: 0.7582 0.0301 0.4810
O: 0.7713 0.5425 0.5355
N: 0.5354 0.7739 0.5450
N: 0.5457 0.5339 0.7717
N: 0.2714 0.7338 0.2226
N: 0.9865 0.9533 0.7278
N: 0.2258 0.4558 0.4634
N: 0.0100 0.0449 0.2754
N: 0.7271 0.2569 0.7689
N: 0.7391 0.2296 0.2752
N: 0.2403 0.9688 0.5106
N: 0.2239 0.2741 0.7414
N: 0.2641 0.7773 0.7324
N: 0.5101 0.2371 0.9669
N: 0.4557 0.4652 0.2287
N: 0.0308 0.4855 0.7571
N: 0.7267 0.9870 0.9536
N: 0.9576 0.7293 0.9899



# 2
Below is a geometry-optimized Hf2N2O structure, with properties calculated at the r²SCAN level.

* energy: -25.47 eV/atom
* SG: P1, No. 1
* DFT formation energy: -2.568 eV per atom
* mass density: 10.59 g/cm³

a = 8.6633 Å, b = 8.6722 Å, c = 8.6805 Å
α = 109.42°, β = 109.47°, γ = 109.40°
Fractional coordinates of all 40 atoms:
O: 0.4486 0.9637 0.7223
O: 0.7371 0.7226 0.7729
O: 0.0568 0.7780 0.5216
O: 0.0363 0.9803 0.2613
O: 0.2278 0.7757 0.2429
O: 0.2285 0.9527 0.9632
O: 0.5114 0.7467 0.4707
O: 0.7579 0.5356 0.9801
Hf: 0.9985 0.0117 0.5084
Hf: 0.2933 0.0425 0.2562
Hf: 0.7242 0.9746 0.7553
Hf: 0.5326 0.2500 0.7860
Hf: 0.9574 0.7414 0.7086
Hf: 0.5103 0.0041 0.0114
Hf: 0.7523 0.2877 0.5373
Hf: 0.7761 0.5273 0.2478
Hf: 0.0340 0.2578 0.2848
Hf: 0.7440 0.7859 0.0364
Hf: 0.2444 0.7061 0.4625
Hf: 0.2505 0.2184 0.9621
Hf: 0.2143 0.4647 0.7486
Hf: 0.0022 0.4904 0.9924
Hf: 0.4720 0.7496 0.2085
Hf: 0.4880 0.4825 0.4899
N: 0.0130 0.5518 0.7791
N: 0.7300 0.7598 0.2724
N: 0.2705 0.2356 0.7236
N: 0.7293 0.4965 0.4579
N: 0.7743 0.0423 0.0305
N: 0.2599 0.2665 0.2265
N: 0.4862 0.2610 0.5334
N: 0.9635 0.0045 0.7368
N: 0.9878 0.4617 0.2295
N: 0.5356 0.2709 0.0423
N: 0.2771 0.5190 0.5472
N: 0.9522 0.2243 0.4841
N: 0.5407 0.0321 0.2689
N: 0.4688 0.7286 0.9538
N: 0.2401 0.4677 0.0167
N: 0.7723 0.2279 0.7661



# 3
Below is a geometry-optimized Hf2N2O structure, with properties calculated at the r²SCAN level.

* energy: -25.47 eV/atom
* SG: P1, No. 1
* DFT formation energy: -2.566 eV per atom
* mass density: 10.60 g/cm³

a = 8.7010 Å, b = 8.6917 Å, c = 8.6486 Å
α = 109.35°, β = 109.56°, γ = 109.62°
Fractional coordinates of all 40 atoms:
N: 0.4927 0.7687 0.0362
N: 0.5406 0.7742 0.5490
N: 0.9585 0.7330 0.9914
N: 0.9631 0.5058 0.2362
N: 0.2735 0.7392 0.2248
N: 0.0312 0.4842 0.7582
N: 0.7668 0.5369 0.5260
N: 0.7254 0.2550 0.7672
N: 0.5491 0.5334 0.7732
N: 0.2621 0.7777 0.7283
N: 0.5106 0.2390 0.9719
N: 0.2245 0.2729 0.7408
N: 0.2281 0.4495 0.4623
N: 0.9901 0.9586 0.7315
N: 0.7708 0.7270 0.2623
N: 0.2361 0.9680 0.5072
Hf: 0.7807 0.0310 0.7452
Hf: 0.5036 0.5093 0.5126
Hf: 0.7443 0.7781 0.0360
Hf: 0.9965 0.5090 0.9967
Hf: 0.2859 0.5367 0.7512
Hf: 0.5336 0.7489 0.2823
Hf: 0.4895 0.9901 0.9886
Hf: 0.4659 0.2502 0.7218
Hf: 0.2513 0.7150 0.4640
Hf: 0.9727 0.2654 0.2240
Hf: 0.2130 0.9548 0.2494
Hf: 0.7563 0.2922 0.5431
Hf: 0.0263 0.7410 0.7741
Hf: 0.7208 0.4712 0.2493
Hf: 0.2502 0.2153 0.9566
Hf: 0.0096 0.9979 0.5080
O: 0.4441 0.4661 0.2226
O: 0.0047 0.0447 0.2701
O: 0.0490 0.2707 0.0192
O: 0.2823 0.0150 0.0536
O: 0.4612 0.2249 0.4458
O: 0.7604 0.0342 0.4846
O: 0.7436 0.2185 0.2757
O: 0.7313 0.9970 0.9588